{"formula": "K2TeBr6", "functional": "r2SCAN", "state": "optimized geometry", "lattice_angstrom": [[7.4560, 0.0000, 0.0000], [0.0000, 7.4560, 0.0000], [0.0000, 0.0000, 11.1408]], "species": ["K", "K", "K", "K", "Te", "Te", "Br", "Br", "Br", "Br", "Br", "Br", "Br", "Br", "Br", "Br", "Br", "Br"], "fractional_positions": [[0.0000, 0.5000, 0.2500], [0.0000, 0.5000, 0.7500], [0.5000, 0.0000, 0.2500], [0.5000, 0.0000, 0.7500], [0.0000, 0.0000, 0.0000], [0.5000, 0.5000, 0.5000], [0.0000, 0.0000, 0.2446], [0.0000, 0.0000, 0.7554], [0.1929, 0.3041, 0.5000], [0.1959, 0.3071, 0.0000], [0.3041, 0.8071, 0.5000], [0.3071, 0.8041, 0.0000], [0.5000, 0.5000, 0.2554], [0.5000, 0.5000, 0.7446], [0.6929, 0.1959, 0.0000], [0.6959, 0.1929, 0.5000], [0.8041, 0.6929, 0.0000], [0.8071, 0.6959, 0.5000]], "vol_a3_per_cell": 619, "e_tot_ev_per_atom": -14.16, "formation_energy_ev_per_atom": -1.1545}

{"formula": "PrCd3", "functional": "r2SCAN", "state": "optimized geometry", "lattice_angstrom": [[0.0000, 3.6446, 3.6446], [3.6446, 0.0000, 3.6446], [3.6446, 3.6446, 0.0000]], "species": ["Pr", "Cd", "Cd", "Cd"], "fractional_positions": [[0.0000, 0.0000, 0.0000], [0.2500, 0.2500, 0.2500], [0.5000, 0.5000, 0.5000], [0.7500, 0.7500, 0.7500]], "vol_a3_per_cell": 97, "e_tot_ev_per_atom": -22.78, "formation_energy_ev_per_atom": -0.3469}

{"formula": "Ho2FeGe4", "functional": "r2SCAN", "state": "optimized geometry", "lattice_angstrom": [[4.1111, 0.0000, 0.0000], [0.0000, 2.0831, 7.8733], [0.0000, -2.0831, 7.8733]], "species": ["Ho", "Ho", "Fe", "Ge", "Ge", "Ge", "Ge"], "fractional_positions": [[0.0000, 0.0000, 0.0000], [0.5000, 0.2090, 0.2090], [0.0000, 0.7982, 0.7982], [0.0000, 0.3630, 0.3630], [0.0000, 0.6516, 0.6516], [0.5000, 0.5479, 0.5479], [0.5000, 0.8617, 0.8617]], "vol_a3_per_cell": 135, "e_tot_ev_per_atom": -19.94, "formation_energy_ev_per_atom": -0.5621}

Number 1 is which compound?
K2TeBr6